Compound: Na2Li4Ni2C4SO16
Source: the Materials Project database
Functional: PBE with a Hubbard U
Structure: optimized geometry

Computed properties:
E_form: -1.980 eV per atom
SG: Fddd (70)

Cell: 9.759 9.560 9.532 Å, 61.48 59.40 59.12°
Atoms (fractional coordinates):
Na1 0.099 0.099 0.651
Na2 0.349 0.349 0.901
Na3 0.651 0.651 0.099
Na4 0.901 0.901 0.349
Li1 0.026 0.489 0.814
Li2 0.172 0.814 0.489
Li3 0.186 0.828 0.974
Li4 0.489 0.026 0.172
Li5 0.511 0.974 0.828
Li6 0.814 0.172 0.026
Li7 0.828 0.186 0.511
Li8 0.974 0.511 0.186
Ni1 0.000 0.500 0.500
Ni2 0.500 0.000 0.500
Ni3 0.500 0.500 0.000
Ni4 0.500 0.500 0.500
C1 0.274 0.659 0.287
C2 0.279 0.287 0.659
C3 0.287 0.279 0.274
C4 0.341 0.726 0.721
C5 0.659 0.274 0.279
C6 0.713 0.721 0.726
C7 0.721 0.713 0.341
C8 0.726 0.341 0.713
S1 0.125 0.125 0.125
S2 0.875 0.875 0.875
O1 0.059 0.064 0.316
O2 0.061 0.316 0.064
O3 0.064 0.059 0.061
O4 0.127 0.672 0.411
O5 0.137 0.311 0.658
O6 0.144 0.404 0.295
O7 0.290 0.411 0.672
O8 0.295 0.657 0.144
O9 0.311 0.137 0.394
O10 0.316 0.061 0.059
O11 0.328 0.873 0.710
O12 0.342 0.606 0.863
O13 0.343 0.705 0.596
O14 0.394 0.658 0.311
O15 0.404 0.144 0.657
O16 0.411 0.290 0.127
O17 0.589 0.710 0.873
O18 0.596 0.856 0.343
O19 0.606 0.342 0.689
O20 0.657 0.295 0.404
O21 0.658 0.394 0.137
O22 0.672 0.127 0.290
O23 0.684 0.939 0.941
O24 0.689 0.863 0.606
O25 0.705 0.343 0.856
O26 0.710 0.589 0.328
O27 0.856 0.596 0.705
O28 0.863 0.689 0.342
O29 0.873 0.328 0.589
O30 0.936 0.941 0.939
O31 0.939 0.684 0.936
O32 0.941 0.936 0.684

***

Compound: Li2NiC2O6
Source: the Materials Project database
Functional: PBE with a Hubbard U
Structure: optimized geometry

Computed properties:
Offset from the most stable computed form: 0.035 eV per atom
E_form: -1.901 eV per atom
SG: P1 (1)

Cell: 5.435 6.023 16.212 Å, 89.92 89.90 63.19°
Atoms (fractional coordinates):
Li1 0.000 0.000 0.000
Li2 0.000 0.500 0.107
Li3 0.403 0.197 0.857
Li4 0.404 0.696 0.250
Li5 0.496 0.499 0.607
Li6 0.497 0.999 0.500
Li7 0.900 0.696 0.750
Li8 0.902 0.196 0.357
Ni1 0.100 0.098 0.679
Ni2 0.100 0.598 0.428
Ni3 0.600 0.098 0.179
Ni4 0.601 0.598 0.929
C1 0.370 0.663 0.781
C2 0.371 0.163 0.325
C3 0.437 0.033 0.031
C4 0.437 0.533 0.076
C5 0.872 0.664 0.282
C6 0.873 0.164 0.826
C7 0.933 0.033 0.531
C8 0.933 0.533 0.576
O1 0.089 0.679 0.308
O2 0.090 0.178 0.798
O3 0.165 0.018 0.559
O4 0.165 0.518 0.548
O5 0.225 0.108 0.079
O6 0.227 0.608 0.027
O7 0.234 0.588 0.829
O8 0.237 0.089 0.277
O9 0.288 0.226 0.402
O10 0.289 0.726 0.705
O11 0.417 0.470 0.152
O12 0.421 0.969 0.955
O13 0.587 0.678 0.809
O14 0.589 0.179 0.298
O15 0.668 0.018 0.059
O16 0.669 0.518 0.049
O17 0.722 0.108 0.579
O18 0.722 0.608 0.528
O19 0.737 0.090 0.777
O20 0.738 0.590 0.331
O21 0.789 0.726 0.205
O22 0.790 0.226 0.902
O23 0.917 0.469 0.652
O24 0.917 0.969 0.455

***

Compound: Li2NiC2O6
Source: the Materials Project database
Functional: PBE with a Hubbard U
Structure: optimized geometry

Computed properties:
Offset from the most stable computed form: 0.000 eV per atom
E_form: -1.936 eV per atom

Cell: 5.183 6.439 15.517 Å, 89.97 90.06 66.68°
Atoms (fractional coordinates):
O1 0.566 0.181 0.702
O2 0.391 0.910 0.941
O3 0.932 0.321 0.452
O4 0.467 0.621 0.623
O5 0.062 0.689 0.550
O6 0.467 0.621 0.123
O7 0.104 0.597 0.691
O8 0.432 0.819 0.299
O9 0.530 0.383 0.878
O10 0.932 0.320 0.952
O11 0.432 0.819 0.799
O12 0.104 0.597 0.191
O13 0.530 0.383 0.378
O14 0.965 0.124 0.628
O15 0.602 0.097 0.560
O16 0.063 0.688 0.050
O17 0.965 0.124 0.128
O18 0.892 0.405 0.809
O19 0.566 0.181 0.202
O20 0.029 0.885 0.872
O21 0.603 0.097 0.060
O22 0.391 0.910 0.441
O23 0.028 0.885 0.372
O24 0.893 0.405 0.309
Ni1 0.996 0.005 0.500
Ni2 0.997 0.004 0.000
Ni3 0.498 0.502 0.751
Ni4 0.498 0.501 0.251
C1 0.286 0.868 0.869
C2 0.209 0.639 0.120
C3 0.708 0.138 0.632
C4 0.286 0.868 0.369
C5 0.788 0.366 0.381
C6 0.209 0.639 0.620
C7 0.709 0.138 0.131
C8 0.788 0.366 0.881
Li1 0.658 0.737 0.537
Li2 0.152 0.249 0.212
Li3 0.152 0.249 0.712
Li4 0.339 0.264 0.462
Li5 0.822 0.799 0.782
Li6 0.339 0.264 0.962
Li7 0.658 0.737 0.037
Li8 0.822 0.799 0.282